Record 1
PrP2Rh2: relaxed, PBE.

Structure (extended XYZ):
```
10
Lattice="4.185 0.000 0.000 0.000 4.185 0.000 0.000 0.000 9.638" Properties=species:S:1:pos:R:3 pbc="T T T"
Pr 1.046 1.046 2.336
Pr 3.139 3.139 7.302
P 1.046 1.046 6.147
P 1.046 3.139 0.000
P 3.139 1.046 0.000
P 3.139 3.139 3.491
Rh 1.046 1.046 8.555
Rh 1.046 3.139 4.819
Rh 3.139 1.046 4.819
Rh 3.139 3.139 1.083
```

Record 2
PrP2Ru2: relaxed, PBE.

Structure (extended XYZ):
```
10
Lattice="4.080 0.000 0.000 0.000 4.080 0.000 0.000 0.000 10.191" Properties=species:S:1:pos:R:3 pbc="T T T"
Pr 0.000 0.000 0.000
Pr 2.040 2.040 5.095
P 0.000 0.000 3.728
P 0.000 0.000 6.463
P 2.040 2.040 1.368
P 2.040 2.040 8.823
Ru 0.000 2.040 2.548
Ru 0.000 2.040 7.643
Ru 2.040 0.000 2.548
Ru 2.040 0.000 7.643
```

Record 3
PrP12Ru4: relaxed, PBE.

Structure (extended XYZ):
```
17
Lattice="-4.053 4.053 4.053 4.053 -4.053 4.053 4.053 4.053 -4.053" Properties=species:S:1:pos:R:3 pbc="T T T"
Pr 0.000 0.000 0.000
P 2.902 1.165 0.000
P 5.204 1.165 0.000
P 4.053 -1.151 2.888
P 2.888 4.053 -1.151
P 1.165 0.000 2.902
P 4.053 1.151 2.888
P 0.000 2.902 1.165
P 2.888 4.053 1.151
P 1.165 0.000 5.204
P 0.000 5.204 1.165
P -1.151 2.888 4.053
P 1.151 2.888 4.053
Ru 2.027 2.027 -2.027
Ru 2.027 -2.027 2.027
Ru -2.027 2.027 2.027
Ru 2.027 2.027 2.027
```

Record 4
Pr5P12Ru19: relaxed, PBE.

Structure (extended XYZ):
```
36
Lattice="12.665 0.000 0.000 -6.333 10.968 0.000 0.000 0.000 4.026" Properties=species:S:1:pos:R:3 pbc="T T T"
Pr -5.167 8.949 0.000
Pr 1.166 2.019 0.000
Pr 0.000 7.312 2.013
Pr 6.333 3.656 2.013
Pr 10.333 0.000 0.000
P -1.189 2.060 2.013
P -3.957 6.854 2.013
P -0.857 5.223 0.000
P 2.378 0.000 2.013
P -1.381 9.099 0.000
P 2.376 4.115 2.013
P 4.952 1.869 0.000
P 2.238 7.615 0.000
P 7.914 0.000 2.013
P 5.476 5.745 0.000
P 5.143 8.909 2.013
P 8.571 3.354 0.000
Ru 0.000 0.000 2.013
Ru -1.806 3.128 0.000
Ru -2.820 4.884 2.013
Ru -2.437 6.950 0.000
Ru -0.061 4.151 2.013
Ru -2.707 8.945 2.013
Ru 3.612 0.000 0.000
Ru 1.532 5.383 0.000
Ru 3.625 2.023 2.013
Ru 5.640 0.000 2.013
Ru 3.896 4.018 0.000
Ru 0.905 9.603 0.000
Ru 3.513 6.084 2.013
Ru 2.768 8.840 2.013
Ru 7.237 1.365 0.000
Ru 4.526 7.840 0.000
Ru 6.272 6.817 2.013
Ru 9.101 2.128 2.013
Ru 7.865 5.585 0.000
```

Record 5
PrPS: relaxed, PBE.

Structure (extended XYZ):
```
24
Lattice="5.625 0.000 0.000 0.000 5.542 0.000 0.000 0.000 17.348" Properties=species:S:1:pos:R:3 pbc="T T T"
Pr 0.091 1.386 2.386
Pr 0.091 4.157 6.119
Pr 2.721 1.386 14.793
Pr 2.722 4.157 11.060
Pr 2.903 1.386 6.288
Pr 2.904 4.157 2.555
Pr 5.534 1.386 11.229
Pr 5.534 4.157 14.962
P 1.093 0.245 8.718
P 1.093 2.526 8.718
P 1.719 3.016 0.044
P 1.719 5.297 0.044
P 3.906 0.245 17.304
P 3.906 2.526 17.304
P 4.532 3.016 8.630
P 4.532 5.297 8.630
S 0.070 4.157 3.169
S 0.085 1.386 5.393
S 2.728 4.157 14.067
S 2.742 1.386 11.843
S 2.883 4.157 5.504
S 2.897 1.386 3.281
S 5.540 4.157 11.955
S 5.554 1.386 14.178
```

Record 6
PrSi2P6: relaxed, PBE.

Structure (extended XYZ):
```
72
Lattice="5.094 -14.085 0.000 5.094 14.085 0.000 0.000 0.000 10.410" Properties=species:S:1:pos:R:3 pbc="T T T"
Pr 5.094 12.944 5.205
Pr 5.094 7.492 10.010
Pr 5.094 5.330 5.020
Pr 5.094 2.272 0.786
Pr 5.094 -2.272 5.992
Pr 5.094 -5.330 10.225
Pr 5.094 -7.492 4.805
Pr 5.094 -12.944 0.000
Si 3.345 9.061 7.199
Si 1.807 4.653 8.938
Si 1.635 2.272 4.160
Si 1.635 -2.272 9.365
Si 3.358 1.872 7.478
Si 1.807 -4.653 3.733
Si 6.842 9.061 7.199
Si 3.358 -1.872 2.273
Si 6.830 1.872 7.478
Si 3.345 -9.061 1.993
Si 8.381 4.653 8.938
Si 6.830 -1.872 2.273
Si 8.552 2.272 4.160
Si 8.552 -2.272 9.365
Si 8.381 -4.653 3.733
Si 6.842 -9.061 1.993
P 2.981 7.247 4.050
P 5.094 12.909 8.307
P 2.079 4.428 4.167
P 5.094 11.904 2.320
P 2.102 3.425 0.415
P 3.418 6.573 1.971
P 1.556 1.310 6.231
P 5.094 9.678 2.326
P 1.556 -1.310 1.026
P 3.527 4.123 7.522
P 5.094 7.676 7.034
P 3.052 0.832 9.437
P 3.472 1.191 3.365
P 5.094 5.115 2.088
P 2.102 -3.425 5.620
P 3.052 -0.832 4.232
P 5.094 4.361 9.066
P 2.079 -4.428 9.372
P 3.472 -1.191 8.570
P 5.094 2.125 4.566
P 6.769 6.573 1.971
P 7.206 7.247 4.050
P 5.094 0.863 6.395
P 3.527 -4.123 2.317
P 6.661 4.123 7.522
P 5.094 -0.863 1.190
P 2.981 -7.247 9.255
P 3.418 -6.573 7.176
P 5.094 -2.125 9.771
P 6.716 1.191 3.365
P 8.109 4.428 4.167
P 5.094 -4.361 3.861
P 7.135 0.832 9.437
P 8.085 3.425 0.415
P 5.094 -5.115 7.293
P 6.716 -1.191 8.570
P 7.135 -0.832 4.232
P 5.094 -7.676 1.829
P 6.661 -4.123 2.317
P 8.631 1.310 6.231
P 5.094 -9.678 7.532
P 8.631 -1.310 1.026
P 6.769 -6.573 7.176
P 8.085 -3.425 5.620
P 5.094 -11.904 7.525
P 8.109 -4.428 9.372
P 5.094 -12.909 3.102
P 7.206 -7.247 9.255
```

Record 7
Pr2UP3: relaxed, PBE.

Structure (extended XYZ):
```
12
Lattice="4.099 0.000 0.000 0.000 5.814 0.000 0.000 0.000 12.415" Properties=species:S:1:pos:R:3 pbc="T T T"
Pr 0.000 0.000 2.089
Pr 0.000 0.000 10.326
Pr 2.050 2.907 4.119
Pr 2.050 2.907 8.297
U 0.000 0.000 6.208
U 2.050 2.907 0.000
P 0.000 2.907 1.912
P 0.000 2.907 6.208
P 0.000 2.907 10.503
P 2.050 0.000 0.000
P 2.050 0.000 4.296
P 2.050 0.000 8.120
```

Record 8
PrUP2: relaxed, PBE.

Structure (extended XYZ):
```
4
Lattice="4.076 0.000 0.000 0.000 4.076 0.000 0.000 0.000 5.751" Properties=species:S:1:pos:R:3 pbc="T T T"
Pr 0.000 0.000 0.000
U 2.038 2.038 2.875
P 0.000 0.000 2.875
P 2.038 2.038 0.000
```

How do the records compare in DFT formation energy? In the order shown, they have -1.0940 -1.0037 -0.6561 -0.8175 -1.7145 -0.4324 -1.3194 -1.1856 eV/atom.